DFT (PBE) results for a geometry-optimized Cd6Sb5 structure.

Lattice parameters (Å, degrees): 12.885 12.885 12.885 112.73 112.73 112.73
Fractional positions:
Cd 0.482 0.929 0.055
Cd 0.429 0.982 0.555
Cd 0.071 0.945 0.518
Cd 0.555 0.429 0.982
Cd 0.571 0.018 0.445
Cd 0.518 0.071 0.945
Cd 0.018 0.445 0.571
Cd 0.982 0.555 0.429
Cd 0.055 0.482 0.929
Cd 0.929 0.055 0.482
Cd 0.445 0.571 0.018
Cd 0.945 0.518 0.071
Sb 0.250 0.880 0.620
Sb 0.120 0.380 0.750
Sb 0.880 0.620 0.250
Sb 0.750 0.120 0.380
Sb 0.380 0.750 0.120
Sb 0.127 0.127 0.127
Sb 0.873 0.873 0.873
Sb 0.373 0.373 0.373
Sb 0.620 0.250 0.880
Sb 0.627 0.627 0.627

- Energy: -1.9323 eV per atom

DFT (PBE) results for a geometry-optimized CdSb3 structure.

Lattice parameters (Å, degrees): 6.594 6.594 5.721 90.00 90.00 120.00
Fractional positions:
Cd 0.667 0.333 0.250
Cd 0.333 0.667 0.750
Sb 0.829 0.171 0.750
Sb 0.171 0.343 0.250
Sb 0.657 0.829 0.250
Sb 0.171 0.829 0.250
Sb 0.829 0.657 0.750
Sb 0.343 0.171 0.750

- Energy: -3.1182 eV per atom

DFT (PBE) results for a geometry-optimized CdSb structure.

Lattice parameters (Å, degrees): 3.109 3.239 5.474 90.00 90.00 90.00
Fractional positions:
Cd 0.000 0.000 0.000
Sb 0.000 0.500 0.500

- E above lowest polymorph: 0.150 eV/atom
- Energy: -2.4130 eV per atom

DFT (PBE) results for a geometry-optimized CdSnSb2 structure.

Lattice parameters (Å, degrees): 8.076 8.076 8.076 131.42 131.42 71.15
Fractional positions:
Cd 0.750 0.250 0.500
Cd 0.000 0.000 0.000
Sb 0.375 0.877 0.002
Sb 0.123 0.125 0.498
Sb 0.627 0.625 0.502
Sb 0.875 0.373 0.998
Sn 0.500 0.500 0.000
Sn 0.250 0.750 0.500

- Energy: -3.3371 eV per atom

| no. | volume (Å³ per cell) | theoretical density (g/cm3) | total energy after the MP2020 corrections (eV per atom) |
| --- | --- | --- | --- |
| 1 | 1413.9 | 3.01 | -2.0195 |
| 2 | 215.4 | 7.36 | -3.2622 |
| 3 | 55.1 | 7.05 | -2.5090 |
| 4 | 290.0 | 5.44 | -3.4331 |